# 1
VASP calculation (PBE+U) on a relaxed structure of LiFe23O32.

abc: 8.572 8.572 8.572
angles: 89.98 89.98 89.98
Fractional coordinates of all 56 atoms:
Li 0.000 0.000 0.000
Fe 0.000 0.500 0.500
Fe 0.005 0.754 0.754
Fe 0.123 0.123 0.623
Fe 0.123 0.623 0.123
Fe 0.246 0.246 0.995
Fe 0.246 0.995 0.246
Fe 0.251 0.500 0.749
Fe 0.251 0.749 0.500
Fe 0.370 0.370 0.370
Fe 0.377 0.877 0.877
Fe 0.500 0.000 0.500
Fe 0.500 0.251 0.749
Fe 0.500 0.500 0.000
Fe 0.500 0.749 0.251
Fe 0.623 0.123 0.123
Fe 0.630 0.630 0.630
Fe 0.749 0.251 0.500
Fe 0.749 0.500 0.251
Fe 0.754 0.005 0.754
Fe 0.754 0.754 0.005
Fe 0.877 0.377 0.877
Fe 0.877 0.877 0.377
Fe 0.995 0.246 0.246
O 0.001 0.511 0.739
O 0.001 0.739 0.511
O 0.010 0.010 0.254
O 0.010 0.254 0.010
O 0.238 0.238 0.238
O 0.240 0.500 0.500
O 0.240 0.753 0.753
O 0.247 0.247 0.760
O 0.247 0.760 0.247
O 0.254 0.010 0.010
O 0.261 0.489 0.999
O 0.261 0.999 0.489
O 0.489 0.261 0.999
O 0.489 0.999 0.261
O 0.500 0.240 0.500
O 0.500 0.500 0.240
O 0.500 0.500 0.760
O 0.500 0.760 0.500
O 0.511 0.001 0.739
O 0.511 0.739 0.001
O 0.739 0.001 0.511
O 0.739 0.511 0.001
O 0.746 0.990 0.990
O 0.753 0.240 0.753
O 0.753 0.753 0.240
O 0.760 0.247 0.247
O 0.760 0.500 0.500
O 0.762 0.762 0.762
O 0.990 0.746 0.990
O 0.990 0.990 0.746
O 0.999 0.261 0.489
O 0.999 0.489 0.261

Values from the calculation:
Symmetry ... R-3m, No. 166
Electronic total energy ... -6.640 eV/atom
Magnetization ... 109.0 μB per formula unit

---

# 2
VASP calculation (PBE+U) on a relaxed structure of CsCoNiF6.

abc: 7.364 7.364 7.364
angles: 120.00 119.61 90.34
Fractional coordinates of all 18 atoms:
Cs 0.372 0.122 0.250
Cs 0.628 0.878 0.750
Co 0.000 0.500 0.500
Co 0.500 0.500 0.000
Ni 0.000 0.000 0.500
Ni 0.000 0.500 0.000
F 0.071 0.431 0.262
F 0.071 0.810 0.640
F 0.073 0.823 0.250
F 0.319 0.569 0.750
F 0.330 0.190 0.762
F 0.330 0.569 0.140
F 0.670 0.431 0.860
F 0.670 0.810 0.238
F 0.681 0.431 0.250
F 0.927 0.177 0.750
F 0.929 0.190 0.360
F 0.929 0.569 0.738

Values from the calculation:
Symmetry ... Imma, No. 74
Electronic total energy ... -4.462 eV/atom
Magnetization ... 2.0 μB per formula unit

---

# 3
VASP calculation (PBE+U) on a relaxed structure of Na3Li3Fe2P2C2O14.

abc: 6.643 8.737 10.242
angles: 92.47 90.41 91.30
Fractional coordinates of all 52 atoms:
Na 0.000 0.000 0.000
Na 0.001 0.000 0.499
Na 0.497 0.482 0.250
Na 0.744 0.658 0.507
Na 0.998 0.479 0.249
Na 0.999 0.484 0.756
Li 0.265 0.836 0.250
Li 0.276 0.831 0.754
Li 0.478 0.017 0.506
Li 0.482 0.013 0.006
Li 0.526 0.461 0.743
Li 0.725 0.660 0.000
Fe 0.251 0.391 0.520
Fe 0.252 0.393 0.012
Fe 0.741 0.087 0.232
Fe 0.742 0.087 0.735
P 0.250 0.147 0.269
P 0.256 0.151 0.773
P 0.740 0.334 0.976
P 0.743 0.322 0.481
C 0.259 0.698 0.489
C 0.260 0.699 0.988
C 0.735 0.791 0.772
C 0.745 0.792 0.260
O 0.056 0.048 0.237
O 0.056 0.063 0.737
O 0.244 0.303 0.205
O 0.250 0.661 0.610
O 0.253 0.589 0.396
O 0.254 0.592 0.895
O 0.254 0.661 0.110
O 0.269 0.312 0.715
O 0.273 0.171 0.421
O 0.273 0.841 0.956
O 0.274 0.839 0.456
O 0.276 0.171 0.925
O 0.425 0.046 0.216
O 0.426 0.045 0.720
O 0.565 0.424 0.529
O 0.566 0.440 0.022
O 0.723 0.644 0.786
O 0.727 0.311 0.823
O 0.730 0.162 0.540
O 0.730 0.175 0.038
O 0.732 0.885 0.874
O 0.735 0.890 0.360
O 0.740 0.304 0.330
O 0.743 0.841 0.142
O 0.748 0.849 0.657
O 0.756 0.648 0.280
O 0.938 0.425 0.014
O 0.939 0.413 0.526

Values from the calculation:
Symmetry ... P1, No. 1
Electronic total energy ... -6.574 eV/atom
Magnetization ... 8.0 μB per formula unit
Polymorph energy (0 for the lowest one) ... 5 meV per atom

---

# 4
VASP calculation (PBE+U) on a relaxed structure of BaCr2O7.

abc: 11.844 11.844 9.627
angles: 92.51 92.51 91.19
Fractional coordinates of all 80 atoms:
Ba 0.040 0.960 0.750
Ba 0.051 0.540 0.782
Ba 0.457 0.543 0.750
Ba 0.460 0.949 0.718
Ba 0.540 0.051 0.282
Ba 0.543 0.457 0.250
Ba 0.949 0.460 0.218
Ba 0.960 0.040 0.250
Cr 0.094 0.249 0.502
Cr 0.127 0.746 0.061
Cr 0.244 0.593 0.459
Cr 0.248 0.366 0.006
Cr 0.249 0.094 0.002
Cr 0.254 0.873 0.439
Cr 0.366 0.248 0.506
Cr 0.407 0.756 0.041
Cr 0.593 0.244 0.959
Cr 0.634 0.752 0.494
Cr 0.746 0.127 0.561
Cr 0.751 0.906 0.998
Cr 0.752 0.634 0.994
Cr 0.756 0.407 0.541
Cr 0.873 0.254 0.939
Cr 0.906 0.751 0.498
O 0.000 0.272 0.376
O 0.000 0.728 0.624
O 0.045 0.827 0.150
O 0.075 0.118 0.546
O 0.084 0.337 0.636
O 0.098 0.612 0.082
O 0.109 0.767 0.894
O 0.118 0.075 0.046
O 0.120 0.372 0.061
O 0.141 0.509 0.398
O 0.173 0.955 0.350
O 0.221 0.728 0.391
O 0.228 0.264 0.429
O 0.233 0.891 0.606
O 0.243 0.603 0.631
O 0.264 0.228 0.929
O 0.264 0.461 0.888
O 0.272 0.000 0.876
O 0.272 0.779 0.109
O 0.337 0.084 0.136
O 0.340 0.386 0.135
O 0.368 0.546 0.419
O 0.372 0.120 0.561
O 0.386 0.340 0.635
O 0.388 0.902 0.418
O 0.397 0.757 0.869
O 0.454 0.632 0.081
O 0.461 0.264 0.388
O 0.491 0.859 0.102
O 0.509 0.141 0.898
O 0.539 0.736 0.612
O 0.546 0.368 0.919
O 0.603 0.243 0.131
O 0.612 0.098 0.582
O 0.614 0.660 0.365
O 0.628 0.880 0.439
O 0.632 0.454 0.581
O 0.660 0.614 0.865
O 0.663 0.916 0.864
O 0.728 0.000 0.124
O 0.728 0.221 0.891
O 0.736 0.539 0.112
O 0.736 0.772 0.071
O 0.757 0.397 0.369
O 0.767 0.109 0.394
O 0.772 0.736 0.571
O 0.779 0.272 0.609
O 0.827 0.045 0.650
O 0.859 0.491 0.602
O 0.880 0.628 0.939
O 0.882 0.925 0.954
O 0.891 0.233 0.106
O 0.902 0.388 0.918
O 0.916 0.663 0.364
O 0.925 0.882 0.454
O 0.955 0.173 0.850

Values from the calculation:
Symmetry ... C2/c, No. 15
Electronic total energy ... -6.811 eV/atom

---

# 5
VASP calculation (PBE+U) on a relaxed structure of Na5Zr2MnF15.

abc: 11.439 11.439 7.604
angles: 90.00 90.00 39.89
Fractional coordinates of all 46 atoms:
Na 0.000 0.000 0.000
Na 0.000 0.000 0.500
Na 0.131 0.622 0.750
Na 0.258 0.258 0.000
Na 0.258 0.258 0.500
Na 0.378 0.869 0.750
Na 0.622 0.131 0.250
Na 0.742 0.742 0.000
Na 0.742 0.742 0.500
Na 0.869 0.378 0.250
Zr 0.086 0.643 0.250
Zr 0.357 0.914 0.250
Zr 0.643 0.086 0.750
Zr 0.914 0.357 0.750
Mn 0.500 0.500 0.000
Mn 0.500 0.500 0.500
F 0.056 0.577 0.014
F 0.056 0.577 0.486
F 0.064 0.082 0.750
F 0.082 0.064 0.250
F 0.182 0.207 0.750
F 0.207 0.182 0.250
F 0.233 0.634 0.065
F 0.233 0.634 0.435
F 0.314 0.361 0.250
F 0.361 0.314 0.750
F 0.366 0.767 0.065
F 0.366 0.767 0.435
F 0.390 0.610 0.750
F 0.423 0.944 0.014
F 0.423 0.944 0.486
F 0.577 0.056 0.514
F 0.577 0.056 0.986
F 0.610 0.390 0.250
F 0.634 0.233 0.565
F 0.634 0.233 0.935
F 0.639 0.686 0.250
F 0.686 0.639 0.750
F 0.767 0.366 0.565
F 0.767 0.366 0.935
F 0.793 0.818 0.750
F 0.818 0.793 0.250
F 0.918 0.936 0.750
F 0.936 0.918 0.250
F 0.944 0.423 0.514
F 0.944 0.423 0.986

Values from the calculation:
Symmetry ... Cmcm, No. 63
Electronic total energy ... -5.793 eV/atom
Magnetization ... 5.0 μB per formula unit

---

# 6
VASP calculation (PBE+U) on a relaxed structure of Tl2Cr2O7.

abc: 7.535 7.745 7.924
angles: 108.10 91.48 111.18
Fractional coordinates of all 22 atoms:
Tl 0.129 0.009 0.254
Tl 0.309 0.576 0.731
Tl 0.691 0.424 0.269
Tl 0.871 0.991 0.746
Cr 0.196 0.515 0.244
Cr 0.416 0.121 0.781
Cr 0.584 0.879 0.219
Cr 0.804 0.485 0.756
O 0.029 0.330 0.091
O 0.095 0.650 0.375
O 0.261 0.144 0.648
O 0.303 0.430 0.364
O 0.321 0.086 0.956
O 0.369 0.657 0.138
O 0.472 0.934 0.675
O 0.528 0.066 0.325
O 0.631 0.343 0.862
O 0.679 0.914 0.044
O 0.697 0.570 0.636
O 0.739 0.856 0.352
O 0.905 0.350 0.625
O 0.971 0.670 0.909

Values from the calculation:
Symmetry ... P-1, No. 2
Electronic total energy ... -6.097 eV/atom
Magnetization ... 0.0 μB per formula unit

---

# 7
VASP calculation (PBE+U) on a relaxed structure of ZnFe2O4.

abc: 6.048 6.048 24.958
angles: 96.88 96.88 60.16
Fractional coordinates of all 70 atoms:
Zn 0.000 0.000 0.000
Zn 0.197 0.197 0.598
Zn 0.325 0.325 0.474
Zn 0.396 0.396 0.197
Zn 0.526 0.526 0.074
Zn 0.600 0.600 0.799
Zn 0.654 0.654 0.951
Zn 0.725 0.725 0.674
Zn 0.797 0.797 0.398
Zn 0.925 0.925 0.273
Fe 0.029 0.525 0.074
Fe 0.054 0.054 0.150
Fe 0.126 0.126 0.875
Fe 0.126 0.627 0.875
Fe 0.127 0.127 0.375
Fe 0.232 0.724 0.674
Fe 0.253 0.253 0.749
Fe 0.324 0.832 0.473
Fe 0.329 0.329 0.975
Fe 0.432 0.924 0.273
Fe 0.455 0.455 0.349
Fe 0.525 0.029 0.074
Fe 0.527 0.527 0.575
Fe 0.627 0.126 0.875
Fe 0.724 0.232 0.674
Fe 0.726 0.726 0.175
Fe 0.832 0.324 0.473
Fe 0.855 0.855 0.549
Fe 0.924 0.432 0.273
Fe 0.925 0.925 0.775
O 0.003 0.461 0.921
O 0.049 0.580 0.225
O 0.066 0.066 0.723
O 0.074 0.595 0.724
O 0.082 0.082 0.229
O 0.168 0.168 0.518
O 0.181 0.649 0.024
O 0.190 0.190 0.025
O 0.195 0.673 0.524
O 0.247 0.791 0.826
O 0.267 0.267 0.323
O 0.274 0.795 0.324
O 0.277 0.277 0.827
O 0.368 0.368 0.118
O 0.381 0.848 0.625
O 0.388 0.388 0.626
O 0.392 0.873 0.124
O 0.448 0.981 0.425
O 0.461 0.003 0.921
O 0.462 0.462 0.921
O 0.482 0.482 0.428
O 0.568 0.568 0.719
O 0.580 0.049 0.225
O 0.587 0.587 0.226
O 0.595 0.074 0.724
O 0.649 0.181 0.024
O 0.667 0.667 0.523
O 0.673 0.195 0.524
O 0.684 0.684 0.031
O 0.768 0.768 0.318
O 0.790 0.790 0.826
O 0.791 0.247 0.826
O 0.795 0.274 0.324
O 0.848 0.381 0.625
O 0.867 0.867 0.124
O 0.873 0.392 0.124
O 0.882 0.882 0.628
O 0.974 0.974 0.918
O 0.981 0.448 0.425
O 0.988 0.988 0.426

Values from the calculation:
Symmetry ... Cm, No. 8
Electronic total energy ... -6.082 eV/atom
Magnetization ... 10.0 μB per formula unit
Polymorph energy (0 for the lowest one) ... 54 meV per atom

---

# 8
VASP calculation (PBE+U) on a relaxed structure of Li2V3SnO8.

abc: 6.039 6.061 8.564
angles: 90.10 90.36 90.29
Fractional coordinates of all 28 atoms:
Li 0.000 0.000 0.000
Li 0.238 0.999 0.626
Li 0.493 0.503 0.505
Li 0.744 0.504 0.125
V 0.011 0.505 0.499
V 0.248 0.747 0.260
V 0.253 0.274 0.262
V 0.520 0.005 0.995
V 0.750 0.238 0.758
V 0.751 0.760 0.759
Sn 0.261 0.502 0.886
Sn 0.763 0.004 0.384
O 0.018 0.492 0.257
O 0.028 0.007 0.245
O 0.230 0.261 0.479
O 0.235 0.735 0.485
O 0.255 0.231 0.019
O 0.261 0.775 0.018
O 0.462 0.490 0.249
O 0.488 0.010 0.245
O 0.506 0.998 0.769
O 0.526 0.498 0.748
O 0.719 0.230 0.994
O 0.723 0.770 0.990
O 0.753 0.273 0.517
O 0.754 0.732 0.514
O 0.964 0.002 0.755
O 0.989 0.500 0.749

Values from the calculation:
Symmetry ... P1, No. 1
Electronic total energy ... -6.947 eV/atom
Magnetization ... 0.0 μB per formula unit
Polymorph energy (0 for the lowest one) ... 59 meV per atom

---

Q: The highest electronic total energy belongs to which entry?
A: CsCoNiF6

---

Please write out number 2 again, unchanged.
VASP calculation (PBE+U) on a relaxed structure of CsCoNiF6.

abc: 7.364 7.364 7.364
angles: 120.00 119.61 90.34
Fractional coordinates of all 18 atoms:
Cs 0.372 0.122 0.250
Cs 0.628 0.878 0.750
Co 0.000 0.500 0.500
Co 0.500 0.500 0.000
Ni 0.000 0.000 0.500
Ni 0.000 0.500 0.000
F 0.071 0.431 0.262
F 0.071 0.810 0.640
F 0.073 0.823 0.250
F 0.319 0.569 0.750
F 0.330 0.190 0.762
F 0.330 0.569 0.140
F 0.670 0.431 0.860
F 0.670 0.810 0.238
F 0.681 0.431 0.250
F 0.927 0.177 0.750
F 0.929 0.190 0.360
F 0.929 0.569 0.738

Values from the calculation:
Symmetry ... Imma, No. 74
Electronic total energy ... -4.462 eV/atom
Magnetization ... 2.0 μB per formula unit

---

Q: What is the electronic total energy in the fifth record?
A: -5.793 eV/atom

---

Q: Which of these has the lowest electronic total energy?
A: Li2V3SnO8